{
  "formula": "TmNi2P2",
  "functional": "r2SCAN",
  "state": "relaxed",
  "formation_enthalpy_0k_kj_per_mol_fu": -514.8,
  "m_tot_mub_per_fu": 0.00,
  "vol_a3_per_cell": 67.7,
  "cell": [[-0.618, 2.846, 2.480], [-3.368, 0.719, -1.664], [-0.069, -4.749, 2.482]],
  "species": ["Ni", "Ni", "Tm", "P", "P"],
  "frac_coords": [[0.750, 0.250, 0.500], [0.250, 0.750, 0.500], [0.000, 0.000, 0.000], [0.378, 0.378, 0.756], [0.622, 0.622, 0.244]]
}

***

{
  "formula": "UNi4P2",
  "functional": "r2SCAN",
  "state": "relaxed",
  "formation_enthalpy_0k_kj_per_mol_fu": -490.5,
  "m_tot_mub_per_fu": 1.27,
  "vol_a3_per_cell": 179.6,
  "cell": [[7.030, 0.000, 0.000], [0.000, 7.030, 0.000], [0.000, 0.000, 3.634]],
  "species": ["P", "P", "P", "P", "Ni", "Ni", "Ni", "Ni", "Ni", "Ni", "Ni", "Ni", "U", "U"],
  "frac_coords": [[0.780, 0.220, 0.000], [0.220, 0.780, 0.000], [0.720, 0.720, 0.500], [0.280, 0.280, 0.500], [0.340, 0.088, 0.000], [0.912, 0.660, 0.000], [0.588, 0.160, 0.500], [0.412, 0.840, 0.500], [0.660, 0.912, 0.000], [0.088, 0.340, 0.000], [0.160, 0.588, 0.500], [0.840, 0.412, 0.500], [0.500, 0.500, 0.000], [0.000, 0.000, 0.500]]
}

***

{
  "formula": "UNiP2",
  "functional": "r2SCAN",
  "state": "relaxed",
  "formation_enthalpy_0k_kj_per_mol_fu": -356.3,
  "m_tot_mub_per_fu": 0.42,
  "vol_a3_per_cell": 195.5,
  "cell": [[3.793, 0.000, 0.000], [0.000, 3.799, 0.000], [0.000, 0.000, 13.570]],
  "species": ["U", "U", "U", "P", "P", "P", "P", "P", "P", "Ni", "Ni", "Ni"],
  "frac_coords": [[0.000, 0.500, 0.990], [0.500, 0.000, 0.659], [0.500, 0.000, 0.351], [0.000, 0.000, 0.504], [0.500, 0.500, 0.505], [0.000, 0.500, 0.739], [0.500, 0.000, 0.912], [0.000, 0.500, 0.265], [0.500, 0.000, 0.082], [0.000, 0.000, 0.171], [0.000, 0.000, 0.826], [0.500, 0.500, 0.170]]
}

***

{
  "formula": "Zr2Ni12P7",
  "functional": "r2SCAN",
  "state": "relaxed",
  "formation_enthalpy_0k_kj_per_mol_fu": -1550.3,
  "m_tot_mub_per_fu": 0.00,
  "vol_a3_per_cell": 246.6,
  "cell": [[-5.491, 2.114, 6.723], [3.645, -8.147, -0.397], [2.783, 1.152, 1.911]],
  "species": ["P", "P", "P", "P", "P", "P", "P", "Zr", "Zr", "Ni", "Ni", "Ni", "Ni", "Ni", "Ni", "Ni", "Ni", "Ni", "Ni", "Ni", "Ni"],
  "frac_coords": [[0.372, 0.921, 0.000], [0.549, 0.628, 0.000], [0.958, 0.743, 0.500], [0.079, 0.451, 0.000], [0.667, 0.333, 0.000], [0.785, 0.042, 0.500], [0.257, 0.215, 0.500], [0.000, 0.000, 0.000], [0.333, 0.667, 0.500], [0.054, 0.285, 0.500], [0.539, 0.425, 0.500], [0.715, 0.769, 0.500], [0.390, 0.177, 0.000], [0.295, 0.395, 0.000], [0.605, 0.900, 0.000], [0.786, 0.609, 0.000], [0.886, 0.461, 0.500], [0.823, 0.214, 0.000], [0.100, 0.705, 0.000], [0.231, 0.946, 0.500], [0.575, 0.114, 0.500]]
}

***

{
  "formula": "Zr2Ni3P3",
  "functional": "r2SCAN",
  "state": "relaxed",
  "formation_enthalpy_0k_kj_per_mol_fu": -866.5,
  "m_tot_mub_per_fu": 0.00,
  "vol_a3_per_cell": 444.6,
  "cell": [[3.626, 0.000, 0.000], [0.000, 10.000, 0.000], [0.000, 0.000, 12.261]],
  "species": ["Zr", "Zr", "Zr", "Zr", "Zr", "Zr", "Zr", "Zr", "P", "P", "P", "P", "P", "P", "P", "P", "P", "P", "P", "P", "Ni", "Ni", "Ni", "Ni", "Ni", "Ni", "Ni", "Ni", "Ni", "Ni", "Ni", "Ni"],
  "frac_coords": [[0.250, 0.073, 0.209], [0.750, 0.837, 0.504], [0.750, 0.927, 0.791], [0.750, 0.573, 0.291], [0.750, 0.663, 0.004], [0.250, 0.427, 0.709], [0.250, 0.163, 0.496], [0.250, 0.337, 0.996], [0.750, 0.263, 0.146], [0.250, 0.737, 0.854], [0.250, 0.555, 0.129], [0.750, 0.603, 0.601], [0.250, 0.945, 0.629], [0.750, 0.237, 0.646], [0.750, 0.897, 0.101], [0.250, 0.763, 0.354], [0.250, 0.397, 0.399], [0.750, 0.055, 0.371], [0.250, 0.103, 0.899], [0.750, 0.445, 0.871], [0.750, 0.225, 0.835], [0.250, 0.135, 0.718], [0.250, 0.365, 0.218], [0.750, 0.865, 0.282], [0.250, 0.596, 0.484], [0.750, 0.275, 0.335], [0.250, 0.775, 0.165], [0.750, 0.096, 0.016], [0.250, 0.725, 0.665], [0.750, 0.404, 0.517], [0.750, 0.635, 0.782], [0.250, 0.904, 0.983]]
}

***

{
  "formula": "ZrNiP2",
  "functional": "r2SCAN",
  "state": "relaxed",
  "formation_enthalpy_0k_kj_per_mol_fu": -390.2,
  "m_tot_mub_per_fu": 0.00,
  "vol_a3_per_cell": 115.6,
  "cell": [[-1.825, -2.898, -1.087], [2.384, -0.511, -2.639], [4.917, -5.137, 5.439]],
  "species": ["P", "P", "P", "P", "Ni", "Ni", "Zr", "Zr"],
  "frac_coords": [[0.000, 0.500, 0.347], [0.500, 0.000, 0.653], [0.500, 0.500, 0.000], [0.000, 0.000, 0.000], [0.500, 0.500, 0.500], [0.000, 0.000, 0.500], [0.000, 0.500, 0.770], [0.500, 0.000, 0.230]]
}